## TeMoWSe2S (PBE)

Data for a geometry-optimized TeMoWSe2S structure.

Computed properties:
**Mass density**: 5.37 g/cm³
**DFT formation energy**: -0.6025 eV/atom
**Magnetic moment**: 0.0 μB per formula unit

Unit cell a=3.3431 b=3.3431 c=38.1684 alpha=90.00 beta=90.00 gamma=120.00
Fractional coordinates of all 12 atoms:
1 Te 0.0000 0.0000 0.0000
2 Te 0.0000 0.0000 0.0999
3 Mo 0.0000 0.0000 0.2379
4 Mo 0.6667 0.3333 0.6743
5 W 0.0000 0.0000 0.8621
6 W 0.6667 0.3333 0.0500
7 Se 0.0000 0.0000 0.6306
8 Se 0.0000 0.0000 0.7179
9 Se 0.6667 0.3333 0.1943
10 Se 0.6667 0.3333 0.2815
11 S 0.6667 0.3333 0.8222
12 S 0.6667 0.3333 0.9020

=====

## Te2MoW3Se2S4 (PBE)

Data for a geometry-optimized Te2MoW3Se2S4 structure.

Computed properties:
**Mass density**: 5.43 g/cm³
**DFT formation energy**: -0.7309 eV/atom
**Magnetic moment**: 0.0 μB per formula unit

Unit cell a=3.3046 b=3.3046 c=38.4486 alpha=90.00 beta=90.00 gamma=120.00
Fractional coordinates of all 12 atoms:
1 Te 0.0000 0.0000 0.0000
2 Te 0.0000 0.0000 0.0995
3 Mo 0.6667 0.3333 0.0497
4 W 0.0000 0.0000 0.2398
5 W 0.0000 0.0000 0.6147
6 W 0.6667 0.3333 0.4268
7 Se 0.6667 0.3333 0.1958
8 Se 0.6667 0.3333 0.2837
9 S 0.0000 0.0000 0.3869
10 S 0.0000 0.0000 0.4667
11 S 0.6667 0.3333 0.5748
12 S 0.6667 0.3333 0.6546

=====

## TeMoWSe2S (PBE)

Data for a geometry-optimized TeMoWSe2S structure.

Computed properties:
**Mass density**: 5.37 g/cm³
**DFT formation energy**: -0.5869 eV/atom
**Magnetic moment**: 0.0 μB per formula unit

Unit cell a=3.3457 b=3.3457 c=38.1191 alpha=90.00 beta=90.00 gamma=120.00
Fractional coordinates of all 12 atoms:
1 Te 0.0000 0.0000 0.0000
2 Te 0.0000 0.0000 0.1001
3 Mo 0.0000 0.0000 0.2380
4 Mo 0.0000 0.0000 0.8622
5 W 0.3333 0.6667 0.0501
6 W 0.3333 0.6667 0.4259
7 Se 0.0000 0.0000 0.3819
8 Se 0.0000 0.0000 0.4698
9 Se 0.3333 0.6667 0.1943
10 Se 0.3333 0.6667 0.2818
11 S 0.3333 0.6667 0.8225
12 S 0.3333 0.6667 0.9020

=====

## Te2MoWSeS (PBE)

Data for a geometry-optimized Te2MoWSeS structure.

Computed properties:
**Mass density**: 5.52 g/cm³
**DFT formation energy**: -0.4499 eV/atom
**Magnetic moment**: 0.0 μB per formula unit

Unit cell a=3.4016 b=3.4016 c=38.7649 alpha=90.00 beta=90.00 gamma=120.00
Fractional coordinates of all 12 atoms:
1 Te 0.0000 0.0000 0.0000
2 Te 0.0000 0.0000 0.0970
3 Te 0.3333 0.6667 0.8120
4 Te 0.3333 0.6667 0.9090
5 Mo 0.0000 0.0000 0.4849
6 Mo 0.3333 0.6667 0.6727
7 W 0.0000 0.0000 0.8605
8 W 0.3333 0.6667 0.0486
9 Se 0.3333 0.6667 0.4424
10 Se 0.3333 0.6667 0.5273
11 S 0.0000 0.0000 0.6339
12 S 0.0000 0.0000 0.7115

=====

## Te2Mo3WSe2S4 (PBE)

Data for a geometry-optimized Te2Mo3WSe2S4 structure.

Computed properties:
**Mass density**: 4.72 g/cm³
**DFT formation energy**: -0.7567 eV/atom
**Magnetic moment**: 0.0 μB per formula unit

Unit cell a=3.3082 b=3.3082 c=37.5984 alpha=90.00 beta=90.00 gamma=120.00
Fractional coordinates of all 12 atoms:
1 Te 0.0000 0.0000 0.0000
2 Te 0.0000 0.0000 0.1017
3 Mo 0.0000 0.0000 0.4872
4 Mo 0.0000 0.0000 0.8630
5 Mo 0.3333 0.6667 0.0509
6 W 0.3333 0.6667 0.6751
7 Se 0.0000 0.0000 0.6302
8 Se 0.0000 0.0000 0.7200
9 S 0.3333 0.6667 0.4466
10 S 0.3333 0.6667 0.5278
11 S 0.3333 0.6667 0.8223
12 S 0.3333 0.6667 0.9036

=====

## Te2Mo3WSe2S4 (PBE)

Data for a geometry-optimized Te2Mo3WSe2S4 structure.

Computed properties:
**Mass density**: 4.72 g/cm³
**DFT formation energy**: -0.7721 eV/atom
**Magnetic moment**: 0.0 μB per formula unit

Unit cell a=3.3059 b=3.3059 c=37.6163 alpha=90.00 beta=90.00 gamma=120.00
Fractional coordinates of all 12 atoms:
1 Te 0.0000 0.0000 0.0000
2 Te 0.0000 0.0000 0.1017
3 Mo 0.0000 0.0000 0.4872
4 Mo 0.3333 0.6667 0.0509
5 Mo 0.3333 0.6667 0.6751
6 W 0.0000 0.0000 0.8629
7 Se 0.0000 0.0000 0.6304
8 Se 0.0000 0.0000 0.7198
9 S 0.3333 0.6667 0.4466
10 S 0.3333 0.6667 0.5278
11 S 0.3333 0.6667 0.8222
12 S 0.3333 0.6667 0.9037

=====

## Te2Mo3WSe4S2 (PBE)

Data for a geometry-optimized Te2Mo3WSe4S2 structure.

Computed properties:
**Mass density**: 4.99 g/cm³
**DFT formation energy**: -0.6365 eV/atom
**Magnetic moment**: 0.0 μB per formula unit

Unit cell a=3.3444 b=3.3444 c=38.0521 alpha=90.00 beta=90.00 gamma=120.00
Fractional coordinates of all 12 atoms:
1 Te 0.0000 0.0000 0.0000
2 Te 0.0000 0.0000 0.0997
3 Mo 0.0000 0.0000 0.8620
4 Mo 0.6667 0.3333 0.0499
5 Mo 0.6667 0.3333 0.6742
6 W 0.0000 0.0000 0.2378
7 Se 0.0000 0.0000 0.6303
8 Se 0.0000 0.0000 0.7180
9 Se 0.6667 0.3333 0.1938
10 Se 0.6667 0.3333 0.2818
11 S 0.6667 0.3333 0.8222
12 S 0.6667 0.3333 0.9019

=====

## Te2MoWSeS (PBE)

Data for a geometry-optimized Te2MoWSeS structure.

Computed properties:
**Mass density**: 5.26 g/cm³
**DFT formation energy**: -0.4866 eV/atom
**Magnetic moment**: 0.0 μB per formula unit

Unit cell a=3.3980 b=3.3980 c=40.8027 alpha=90.00 beta=90.00 gamma=120.00
Fractional coordinates of all 12 atoms:
1 Te 0.0000 0.0000 0.0000
2 Te 0.0000 0.0000 0.0923
3 Te 0.3333 0.6667 0.8086
4 Te 0.3333 0.6667 0.9004
5 Mo 0.0000 0.0000 0.4805
6 Mo 0.0000 0.0000 0.8545
7 W 0.3333 0.6667 0.0462
8 W 0.3333 0.6667 0.6685
9 Se 0.3333 0.6667 0.4401
10 Se 0.3333 0.6667 0.5209
11 S 0.0000 0.0000 0.6316
12 S 0.0000 0.0000 0.7054

=====

## Te2Mo3WSe2S4 (PBE)

Data for a geometry-optimized Te2Mo3WSe2S4 structure.

Computed properties:
**Mass density**: 4.65 g/cm³
**DFT formation energy**: -0.7358 eV/atom
**Magnetic moment**: 0.0 μB per formula unit

Unit cell a=3.3115 b=3.3115 c=38.1200 alpha=90.00 beta=90.00 gamma=120.00
Fractional coordinates of all 12 atoms:
1 Te 0.0000 0.0000 0.0000
2 Te 0.0000 0.0000 0.1010
3 Mo 0.0000 0.0000 0.4869
4 Mo 0.0000 0.0000 0.8626
5 Mo 0.3333 0.6667 0.6748
6 W 0.3333 0.6667 0.0505
7 Se 0.0000 0.0000 0.6308
8 Se 0.0000 0.0000 0.7188
9 S 0.3333 0.6667 0.4468
10 S 0.3333 0.6667 0.5270
11 S 0.3333 0.6667 0.8226
12 S 0.3333 0.6667 0.9027

=====

## Te2MoW3Se4S2 (PBE)

Data for a geometry-optimized Te2MoW3Se4S2 structure.

Computed properties:
**Mass density**: 5.69 g/cm³
**DFT formation energy**: -0.5737 eV/atom
**Magnetic moment**: 0.0 μB per formula unit

Unit cell a=3.3429 b=3.3429 c=38.6883 alpha=90.00 beta=90.00 gamma=120.00
Fractional coordinates of all 12 atoms:
1 Te 0.0000 0.0000 0.0000
2 Te 0.0000 0.0000 0.0986
3 Mo 0.0000 0.0000 0.8614
4 W 0.0000 0.0000 0.4857
5 W 0.3333 0.6667 0.0493
6 W 0.3333 0.6667 0.6736
7 Se 0.3333 0.6667 0.4425
8 Se 0.3333 0.6667 0.5290
9 Se 0.3333 0.6667 0.8184
10 Se 0.3333 0.6667 0.9045
11 S 0.0000 0.0000 0.6342
12 S 0.0000 0.0000 0.7129

=====

## Te2MoWSeS (PBE)

Data for a geometry-optimized Te2MoWSeS structure.

Computed properties:
**Mass density**: 5.51 g/cm³
**DFT formation energy**: -0.4513 eV/atom
**Magnetic moment**: 0.0 μB per formula unit

Unit cell a=3.4013 b=3.4013 c=38.8557 alpha=90.00 beta=90.00 gamma=120.00
Fractional coordinates of all 12 atoms:
1 Te 0.0000 0.0000 0.0000
2 Te 0.0000 0.0000 0.0969
3 Te 0.0000 0.0000 0.3758
4 Te 0.0000 0.0000 0.4726
5 Mo 0.0000 0.0000 0.2363
6 Mo 0.0000 0.0000 0.8606
7 W 0.3333 0.6667 0.0485
8 W 0.3333 0.6667 0.4242
9 Se 0.3333 0.6667 0.1940
10 Se 0.3333 0.6667 0.2787
11 S 0.3333 0.6667 0.8220
12 S 0.3333 0.6667 0.8992

=====

## Te2Mo3WSe4S2 (PBE)

Data for a geometry-optimized Te2Mo3WSe4S2 structure.

Computed properties:
**Mass density**: 4.98 g/cm³
**DFT formation energy**: -0.6363 eV/atom
**Magnetic moment**: 0.0 μB per formula unit

Unit cell a=3.3445 b=3.3445 c=38.0932 alpha=90.00 beta=90.00 gamma=120.00
Fractional coordinates of all 12 atoms:
1 Te 0.0000 0.0000 0.0000
2 Te 0.0000 0.0000 0.0996
3 Mo 0.0000 0.0000 0.4861
4 Mo 0.0000 0.0000 0.8618
5 Mo 0.3333 0.6667 0.0498
6 W 0.3333 0.6667 0.6740
7 Se 0.0000 0.0000 0.6300
8 Se 0.0000 0.0000 0.7180
9 Se 0.3333 0.6667 0.8181
10 Se 0.3333 0.6667 0.9057
11 S 0.3333 0.6667 0.4463
12 S 0.3333 0.6667 0.5259

=====

Number 3 is which compound? TeMoWSe2S

=====

The highest mass density belongs to which entry? Te2MoW3Se4S2